[1]
Density functional theory data (PBE+U) for a relaxed AlCuW2O8 crystal.

Summary:
M_tot = 0.00 Bohr magnetons per cell
energy of formation from the pure elements = -2131 meV per atom
offset from the most stable computed form = 4.59 kJ per mole of atoms
energy = -7.046 eV per atom

abc: 5.072 5.602 5.729
angles: 109.79 90.73 113.68
Positions (direct):
Al (0.000, 0.000, 0.500)
Cu (0.500, 0.000, 0.000)
W (0.249, 0.498, 0.184)
W (0.751, 0.502, 0.816)
O (0.210, 0.780, 0.437)
O (0.224, 0.241, 0.324)
O (0.157, 0.702, 0.961)
O (0.321, 0.288, 0.813)
O (0.776, 0.759, 0.676)
O (0.790, 0.220, 0.563)
O (0.843, 0.298, 0.039)
O (0.679, 0.712, 0.187)

***

[2]
Density functional theory data (PBE+U) for a relaxed Li3Cr2P3O12 crystal.

Summary:
M_tot = 24.00 Bohr magnetons per cell
energy of formation from the pure elements = -2635 meV per atom
offset from the most stable computed form = 3.21 kJ per mole of atoms
energy = -7.055 eV per atom

abc: 9.739 9.739 9.678
angles: 85.96 85.96 85.78
Positions (direct):
Li (0.239, 0.033, 0.395)
Li (0.967, 0.761, 0.605)
Li (0.732, 0.781, 0.175)
Li (0.502, 0.977, 0.268)
Li (0.753, 0.622, 0.828)
Li (0.568, 0.768, 0.474)
Li (0.912, 0.326, 0.978)
Li (0.674, 0.088, 0.022)
Li (0.232, 0.432, 0.526)
Li (0.219, 0.268, 0.825)
Li (0.023, 0.498, 0.732)
Li (0.378, 0.247, 0.172)
Cr (0.253, 0.968, 0.783)
Cr (0.964, 0.248, 0.280)
Cr (0.467, 0.533, 0.000)
Cr (0.250, 0.750, 0.000)
Cr (0.749, 0.251, 0.500)
Cr (0.531, 0.469, 0.500)
Cr (0.752, 0.036, 0.720)
Cr (0.032, 0.747, 0.217)
P (0.449, 0.156, 0.574)
P (0.650, 0.325, 0.200)
P (0.343, 0.675, 0.302)
P (0.325, 0.657, 0.698)
P (0.675, 0.350, 0.800)
P (0.844, 0.551, 0.426)
P (0.551, 0.847, 0.930)
P (0.823, 0.949, 0.406)
P (0.170, 0.050, 0.099)
P (0.051, 0.177, 0.594)
P (0.153, 0.449, 0.070)
P (0.950, 0.830, 0.901)
O (0.091, 0.403, 0.940)
O (0.618, 0.908, 0.793)
O (0.697, 0.897, 0.344)
O (0.909, 0.802, 0.058)
O (0.914, 0.717, 0.810)
O (0.819, 0.915, 0.566)
O (0.962, 0.882, 0.348)
O (0.882, 0.974, 0.857)
O (0.026, 0.118, 0.143)
O (0.118, 0.038, 0.652)
O (0.085, 0.181, 0.434)
O (0.283, 0.086, 0.190)
O (0.198, 0.091, 0.942)
O (0.103, 0.303, 0.656)
O (0.092, 0.382, 0.207)
O (0.411, 0.084, 0.451)
O (0.377, 0.109, 0.716)
O (0.916, 0.589, 0.549)
O (0.312, 0.411, 0.064)
O (0.122, 0.611, 0.077)
O (0.576, 0.202, 0.158)
O (0.412, 0.316, 0.561)
O (0.612, 0.126, 0.586)
O (0.205, 0.581, 0.655)
O (0.185, 0.690, 0.334)
O (0.390, 0.533, 0.373)
O (0.826, 0.111, 0.372)
O (0.622, 0.332, 0.364)
O (0.693, 0.192, 0.842)
O (0.376, 0.667, 0.137)
O (0.162, 0.887, 0.125)
O (0.594, 0.465, 0.136)
O (0.535, 0.406, 0.864)
O (0.113, 0.838, 0.875)
O (0.333, 0.624, 0.863)
O (0.808, 0.307, 0.158)
O (0.668, 0.378, 0.636)
O (0.889, 0.174, 0.628)
O (0.467, 0.610, 0.627)
O (0.310, 0.815, 0.666)
O (0.891, 0.623, 0.284)
O (0.874, 0.388, 0.414)
O (0.684, 0.588, 0.439)
O (0.798, 0.424, 0.842)
O (0.389, 0.878, 0.923)
O (0.589, 0.688, 0.936)
O (0.597, 0.909, 0.060)
O (0.419, 0.795, 0.345)

***

[3]
Density functional theory data (PBE+U) for a relaxed NdCuW2O8 crystal.

Summary:
M_tot = 0.00 Bohr magnetons per cell
energy of formation from the pure elements = -2360 meV per atom
energy = -7.360 eV per atom

abc: 5.141 6.103 6.329
angles: 108.34 92.28 112.29
Positions (direct):
Nd (0.000, 0.500, 0.000)
Cu (0.500, 0.500, 0.500)
W (0.750, 0.014, 0.339)
W (0.250, 0.986, 0.661)
O (0.499, 0.769, 0.087)
O (0.975, 0.243, 0.225)
O (0.470, 0.800, 0.526)
O (0.022, 0.187, 0.663)
O (0.025, 0.757, 0.775)
O (0.501, 0.231, 0.913)
O (0.978, 0.813, 0.337)
O (0.530, 0.200, 0.474)

***

[4]
Density functional theory data (PBE+U) for a relaxed Cs2KVF6 crystal.

Summary:
M_tot = 2.00 Bohr magnetons per cell
energy of formation from the pure elements = -3169 meV per atom
energy = -5.069 eV per atom

abc: 6.526 6.526 6.526
angles: 60.00 60.00 60.00
Positions (direct):
Cs (0.750, 0.750, 0.750)
Cs (0.250, 0.250, 0.250)
K (0.000, 0.000, 0.000)
V (0.500, 0.500, 0.500)
F (0.716, 0.284, 0.716)
F (0.716, 0.284, 0.284)
F (0.284, 0.716, 0.716)
F (0.284, 0.284, 0.716)
F (0.284, 0.716, 0.284)
F (0.716, 0.716, 0.284)

***

[5]
Density functional theory data (PBE+U) for a relaxed Li2FeF4 crystal.

Summary:
M_tot = 24.00 Bohr magnetons per cell
energy of formation from the pure elements = -2860 meV per atom
offset from the most stable computed form = 3.81 kJ per mole of atoms
energy = -5.123 eV per atom

abc: 8.901 8.901 8.901
angles: 107.73 107.73 107.73
Positions (direct):
Li (0.081, 0.703, 0.951)
Li (0.297, 0.049, 0.919)
Li (0.361, 0.635, 0.770)
Li (0.049, 0.919, 0.297)
Li (0.365, 0.230, 0.639)
Li (0.230, 0.639, 0.365)
Li (0.770, 0.361, 0.635)
Li (0.635, 0.770, 0.361)
Li (0.951, 0.081, 0.703)
Li (0.639, 0.365, 0.230)
Li (0.703, 0.951, 0.081)
Li (0.919, 0.297, 0.049)
Fe (0.291, 0.445, 0.994)
Fe (0.006, 0.709, 0.555)
Fe (0.555, 0.006, 0.709)
Fe (0.445, 0.994, 0.291)
Fe (0.994, 0.291, 0.445)
Fe (0.709, 0.555, 0.006)
F (0.180, 0.190, 0.890)
F (0.261, 0.630, 0.931)
F (0.110, 0.820, 0.810)
F (0.069, 0.739, 0.370)
F (0.179, 0.549, 0.535)
F (0.532, 0.859, 0.848)
F (0.141, 0.152, 0.468)
F (0.370, 0.069, 0.739)
F (0.451, 0.465, 0.821)
F (0.465, 0.821, 0.451)
F (0.810, 0.110, 0.820)
F (0.152, 0.468, 0.141)
F (0.848, 0.532, 0.859)
F (0.190, 0.890, 0.180)
F (0.535, 0.179, 0.549)
F (0.549, 0.535, 0.179)
F (0.630, 0.931, 0.261)
F (0.859, 0.848, 0.532)
F (0.468, 0.141, 0.152)
F (0.821, 0.451, 0.465)
F (0.931, 0.261, 0.630)
F (0.890, 0.180, 0.190)
F (0.739, 0.370, 0.069)
F (0.820, 0.810, 0.110)

***

[6]
Density functional theory data (PBE+U) for a relaxed Li9Mn2Co5O16 crystal.

Summary:
M_tot = 18.83 Bohr magnetons per cell
energy of formation from the pure elements = -1774 meV per atom
offset from the most stable computed form = 8.72 kJ per mole of atoms
energy = -5.764 eV per atom

abc: 3.016 5.983 16.052
angles: 90.62 90.98 95.16
Positions (direct):
Li (0.000, 0.500, 0.000)
Li (0.500, 0.750, 0.125)
Li (0.999, 0.000, 0.251)
Li (0.500, 0.252, 0.874)
Li (0.001, 0.000, 0.749)
Li (0.502, 0.755, 0.623)
Li (0.001, 0.500, 0.500)
Li (0.497, 0.244, 0.378)
Li (0.000, 0.001, 0.500)
Mn (0.000, 0.999, 0.999)
Mn (0.999, 0.500, 0.252)
Co (0.500, 0.250, 0.125)
Co (0.495, 0.762, 0.381)
Co (0.502, 0.240, 0.621)
Co (0.998, 0.501, 0.748)
Co (0.502, 0.747, 0.874)
O (0.522, 0.756, 0.994)
O (0.023, 0.012, 0.121)
O (0.521, 0.257, 0.244)
O (0.024, 0.510, 0.868)
O (0.523, 0.264, 0.740)
O (0.022, 0.019, 0.626)
O (0.505, 0.747, 0.489)
O (0.023, 0.512, 0.372)
O (0.477, 0.244, 0.005)
O (0.976, 0.489, 0.129)
O (0.480, 0.743, 0.260)
O (0.976, 0.988, 0.878)
O (0.477, 0.735, 0.755)
O (0.977, 0.486, 0.631)
O (0.497, 0.255, 0.512)
O (0.980, 0.982, 0.375)

***

[7]
Density functional theory data (PBE+U) for a relaxed CoSe2O8 crystal.

Summary:
M_tot = 10.00 Bohr magnetons per cell
energy of formation from the pure elements = -556 meV per atom
energy = -5.171 eV per atom

abc: 6.887 6.996 7.576
angles: 68.56 90.00 90.00
Positions (direct):
Co (0.500, 0.000, 0.500)
Co (0.000, 0.000, 0.000)
Se (0.741, 0.364, 0.047)
Se (0.241, 0.636, 0.453)
Se (0.259, 0.636, 0.953)
Se (0.759, 0.364, 0.547)
O (0.705, 0.043, 0.268)
O (0.205, 0.957, 0.232)
O (0.295, 0.957, 0.732)
O (0.795, 0.043, 0.768)
O (0.946, 0.286, 0.965)
O (0.446, 0.714, 0.535)
O (0.054, 0.714, 0.035)
O (0.554, 0.286, 0.465)
O (0.562, 0.343, 0.911)
O (0.062, 0.657, 0.589)
O (0.438, 0.657, 0.089)
O (0.938, 0.343, 0.411)
O (0.287, 0.098, 0.285)
O (0.787, 0.902, 0.215)
O (0.713, 0.902, 0.715)
O (0.213, 0.098, 0.785)

***

[8]
Density functional theory data (PBE+U) for a relaxed Li2VO2F2 crystal.

Summary:
M_tot = 4.00 Bohr magnetons per cell
energy of formation from the pure elements = -2805 meV per atom
offset from the most stable computed form = 3.05 kJ per mole of atoms
energy = -6.038 eV per atom

abc: 5.955 5.955 8.329
angles: 91.10 88.90 87.08
Positions (direct):
Li (0.497, 0.247, 0.625)
Li (0.995, 0.745, 0.125)
Li (0.501, 0.756, 0.375)
Li (0.006, 0.251, 0.875)
Li (0.751, 0.250, 0.251)
Li (0.253, 0.757, 0.747)
Li (0.007, 0.003, 0.503)
Li (0.500, 0.501, 0.999)
V (0.745, 0.753, 0.745)
V (0.003, 0.495, 0.505)
V (0.253, 0.247, 0.254)
V (0.497, 0.003, 0.996)
O (0.770, 0.732, 0.520)
O (0.277, 0.232, 0.012)
O (0.482, 0.027, 0.238)
O (0.982, 0.520, 0.730)
O (0.228, 0.260, 0.489)
O (0.724, 0.770, 0.982)
O (0.510, 0.978, 0.760)
O (0.020, 0.474, 0.268)
F (0.230, 0.736, 0.505)
F (0.731, 0.236, 0.005)
F (0.986, 0.980, 0.745)
F (0.486, 0.481, 0.245)
F (0.015, 0.019, 0.257)
F (0.510, 0.521, 0.756)
F (0.771, 0.260, 0.494)
F (0.270, 0.765, 0.993)

***

[9]
Density functional theory data (PBE+U) for a relaxed MgV4O8 crystal.

Summary:
M_tot = 6.00 Bohr magnetons per cell
energy of formation from the pure elements = -2354 meV per atom
offset from the most stable computed form = 18.17 kJ per mole of atoms
energy = -7.371 eV per atom

abc: 5.697 5.113 6.018
angles: 95.97 99.30 61.36
Positions (direct):
Mg (0.500, 0.500, 0.000)
V (0.000, 0.000, 0.000)
V (0.000, 0.000, 0.500)
V (0.425, 0.233, 0.333)
V (0.575, 0.767, 0.667)
O (0.247, 0.181, 0.091)
O (0.272, 0.151, 0.558)
O (0.253, 0.684, 0.280)
O (0.246, 0.763, 0.773)
O (0.754, 0.237, 0.227)
O (0.747, 0.316, 0.720)
O (0.753, 0.819, 0.909)
O (0.728, 0.849, 0.442)

***

[10]
Density functional theory data (PBE+U) for a relaxed MgAl2Co2O6 crystal.

Summary:
M_tot = 5.99 Bohr magnetons per cell
energy of formation from the pure elements = -2465 meV per atom
offset from the most stable computed form = 0.57 kJ per mole of atoms
energy = -6.611 eV per atom

abc: 5.036 5.680 5.039
angles: 89.92 59.96 116.35
Positions (direct):
Mg (0.000, 0.000, 0.000)
Al (0.354, 0.530, 0.823)
Al (0.647, 0.470, 0.177)
Co (0.249, 0.873, 0.375)
Co (0.750, 0.127, 0.625)
O (0.783, 0.731, 0.798)
O (0.849, 0.269, 0.949)
O (0.528, 0.730, 0.419)
O (0.472, 0.271, 0.581)
O (0.150, 0.731, 0.051)
O (0.217, 0.269, 0.203)

***

[11]
Density functional theory data (PBE+U) for a relaxed Li3Mn2Si2O8 crystal.

Summary:
M_tot = 18.00 Bohr magnetons per cell
energy of formation from the pure elements = -2596 meV per atom
offset from the most stable computed form = 0.54 kJ per mole of atoms
energy = -6.973 eV per atom

abc: 10.616 5.102 6.688
angles: 89.84 90.00 90.00
Positions (direct):
Li (0.841, 0.565, 0.756)
Li (0.341, 0.435, 0.244)
Li (0.659, 0.066, 0.248)
Li (0.423, 0.045, 0.484)
Li (0.923, 0.955, 0.516)
Li (0.159, 0.934, 0.752)
Mn (0.341, 0.448, 0.753)
Mn (0.841, 0.552, 0.247)
Mn (0.157, 0.929, 0.238)
Mn (0.657, 0.071, 0.762)
Si (0.911, 0.067, 0.995)
Si (0.411, 0.933, 0.005)
Si (0.591, 0.561, 0.501)
Si (0.091, 0.439, 0.499)
O (0.346, 0.048, 0.794)
O (0.842, 0.953, 0.791)
O (0.889, 0.387, 0.996)
O (0.060, 0.995, 0.990)
O (0.389, 0.613, 0.004)
O (0.560, 0.005, 0.010)
O (0.342, 0.047, 0.209)
O (0.846, 0.952, 0.206)
O (0.166, 0.547, 0.299)
O (0.666, 0.446, 0.305)
O (0.444, 0.448, 0.499)
O (0.591, 0.886, 0.504)
O (0.944, 0.552, 0.501)
O (0.091, 0.114, 0.496)
O (0.166, 0.554, 0.695)
O (0.666, 0.453, 0.701)

***

[12]
Density functional theory data (PBE+U) for a relaxed MnZnF5 crystal.

Summary:
M_tot = 8.00 Bohr magnetons per cell
energy of formation from the pure elements = -2663 meV per atom
offset from the most stable computed form = 0.00 kJ per mole of atoms
energy = -4.951 eV per atom

abc: 5.357 5.357 8.055
angles: 67.13 67.13 69.25
Positions (direct):
Mn (0.000, 0.000, 0.500)
Mn (0.000, 0.000, 0.000)
Zn (0.522, 0.478, 0.750)
Zn (0.478, 0.522, 0.250)
F (0.146, 0.854, 0.250)
F (0.854, 0.146, 0.750)
F (0.738, 0.779, 0.125)
F (0.221, 0.262, 0.375)
F (0.683, 0.283, 0.440)
F (0.717, 0.317, 0.060)
F (0.317, 0.717, 0.560)
F (0.283, 0.683, 0.940)
F (0.779, 0.738, 0.625)
F (0.262, 0.221, 0.875)